Entry one
## MgFe2Co4O8 (PBE with a Hubbard U)

Data for a geometry-optimized MgFe2Co4O8 structure.

Structure (POSCAR):
```
MgFe2Co4O8
1.0
1.8552 -0.9875 5.9854
-5.3499 -1.9748 -1.7562
-0.9236 -5.8407 -0.8030
Mg Fe Co O
1 2 4 8
Direct
0.5000 0.5000 0.0000
0.5000 0.0000 0.0000
0.5000 0.5000 0.5000
0.5000 0.0000 0.5000
0.0405 0.1810 0.1406
0.9595 0.8190 0.8594
0.0000 0.5000 0.5000
0.7382 0.5057 0.2572
0.7383 0.9955 0.7675
0.7276 0.4891 0.7613
0.3127 0.0408 0.7283
0.6873 0.9592 0.2717
0.2724 0.5109 0.2387
0.2617 0.0045 0.2325
0.2618 0.4943 0.7428
```

Calculated volume: 162.7 Å³/cell
M_tot: 2.0 μB per formula unit

Entry two
## MgFe2Co4O8 (PBE with a Hubbard U)

Data for a geometry-optimized MgFe2Co4O8 structure.

Structure (POSCAR):
```
MgFe2Co4O8
1.0
5.1394 -0.7583 -2.6228
-2.8666 -4.6289 2.1612
-2.5657 -3.9099 -4.0548
Mg Fe Co O
1 2 4 8
Direct
0.0000 0.0000 0.5000
0.5000 0.0000 0.0000
0.5000 0.5000 0.5000
0.5000 0.0000 0.5000
0.1882 0.3267 0.0366
0.8118 0.6733 0.9634
0.0000 0.5000 0.5000
0.7146 0.4414 0.3212
0.7327 0.9985 0.7355
0.7378 0.5121 0.7303
0.2615 0.0165 0.7239
0.7385 0.9835 0.2761
0.2622 0.4879 0.2697
0.2673 0.0015 0.2645
0.2854 0.5586 0.6788
```

Calculated volume: 154.7 Å³/cell
M_tot: 2.0 μB per formula unit

Q: Which of them is the least stable? A: entry two.

Entry one
## LiCo2C4O12 (PBE with a Hubbard U)

Data for a geometry-optimized LiCo2C4O12 structure.

Structure (POSCAR):
```
LiCo2C4O12
1.0
5.2914 0.0000 0.0000
-2.5862 6.1729 0.0000
-0.0335 -0.1940 7.5279
Li Co C O
1 2 4 12
Direct
0.7927 0.1895 0.4369
0.9969 0.9966 0.0035
0.4976 0.5206 0.5022
0.7578 0.8772 0.7377
0.2430 0.3705 0.7579
0.7450 0.6210 0.2378
0.2613 0.1249 0.2655
0.6482 0.9223 0.8779
0.6281 0.8224 0.5860
0.4933 0.6124 0.2637
0.0110 0.9008 0.7586
0.8789 0.6807 0.0995
0.8375 0.5584 0.3805
0.1312 0.3990 0.6069
0.1193 0.3142 0.8998
0.0040 0.1036 0.2543
0.5081 0.4178 0.7363
0.4113 0.1929 0.4052
0.3486 0.0689 0.1198
```

Calculated volume: 245.9 Å³/cell
M_tot: 3.0 μB per formula unit

Entry two
## LiCo2C4O12 (PBE with a Hubbard U)

Data for a geometry-optimized LiCo2C4O12 structure.

Structure (POSCAR):
```
LiCo2C4O12
1.0
9.5509 0.0000 0.0000
0.0000 7.4558 0.0000
0.0000 2.8267 7.9455
Li Co C O
2 4 8 24
Direct
0.9131 0.2525 0.1086
0.4131 0.7475 0.8914
0.1346 0.8252 0.6771
0.6346 0.1748 0.3229
0.3536 0.2896 0.1825
0.8536 0.7104 0.8175
0.9736 0.5081 0.6179
0.5009 0.9933 0.1013
0.3997 0.9947 0.5178
0.8997 0.0053 0.4822
0.1201 0.5199 0.9961
0.6201 0.4801 0.0039
0.4736 0.4919 0.3821
0.0009 0.0067 0.8987
0.0847 0.6109 0.6173
0.8589 0.5273 0.6923
0.4789 0.6140 0.4549
0.3999 0.1204 0.0650
0.5975 0.9980 0.2114
0.0066 0.1318 0.9665
0.3377 0.8747 0.6467
0.0318 0.9827 0.4743
0.8241 0.9152 0.6126
0.3241 0.0848 0.3874
0.5318 0.0173 0.5257
0.8377 0.1253 0.3533
0.1608 0.3750 0.1208
0.4849 0.4699 0.0279
0.7076 0.3602 0.0970
0.2076 0.6398 0.9030
0.9849 0.5301 0.9721
0.6608 0.6250 0.8792
0.9789 0.3860 0.5451
0.3589 0.4727 0.3077
0.5847 0.3891 0.3827
0.5066 0.8682 0.0335
0.0975 0.0020 0.7886
0.8999 0.8796 0.9350
```

Calculated volume: 565.8 Å³/cell
M_tot: 3.0 μB per formula unit

Q: Which of them is the least stable? A: entry two.